This record from Materials Project describes a geometry-optimized LaGe3Os structure. The functional is PBE.

## Properties
E_form (eV per atom): -0.524
Total DFT energy (no corrections) (eV/atom): -6.5310

Unit cell a=5.9985 b=5.9985 c=5.9985 alpha=136.26 beta=136.26 gamma=63.58
Fractional coordinates of all 5 atoms:
1 La 0.0003 0.0003 0.0000
2 Ge 0.4236 0.4236 0.0000
3 Ge 0.2601 0.7601 0.5000
4 Ge 0.7601 0.2601 0.5000
5 Os 0.6578 0.6578 0.0000


This record from Materials Project describes a geometry-optimized LaGeOs structure. The functional is PBE.

## Properties
E_form (eV per atom): 0.926
Magnetic moment (μB/f.u.): 0.04
Total DFT energy (no corrections) (eV/atom): -6.0033

Unit cell a=4.7696 b=4.7696 c=4.7696 alpha=60.00 beta=60.00 gamma=60.00
Fractional coordinates of all 3 atoms:
1 La 0.7500 0.7500 0.7500
2 Ge 0.5000 0.5000 0.5000
3 Os 0.0000 0.0000 0.0000


This record from Materials Project describes a geometry-optimized La3Ge4Pd4 structure. The functional is PBE.

## Properties
E_form (eV per atom): -0.911
Total DFT energy (no corrections) (eV/atom): -5.8222

Unit cell a=13.0656 b=13.0656 c=13.0656 alpha=161.33 beta=160.47 gamma=27.15
Fractional coordinates of all 11 atoms:
1 La 0.3517 0.8517 0.5000
2 La 0.6483 0.1483 0.5000
3 La 0.0000 0.0000 0.0000
4 Ge 0.4503 0.4503 0.0000
5 Ge 0.5497 0.5497 0.0000
6 Ge 0.1964 0.6964 0.5000
7 Ge 0.8036 0.3036 0.5000
8 Pd 0.9030 0.4030 0.5000
9 Pd 0.7498 0.7498 0.0000
10 Pd 0.2502 0.2502 0.0000
11 Pd 0.0970 0.5970 0.5000


This record from Materials Project describes a geometry-optimized LaGePd structure. The functional is PBE.

## Properties
E_form (eV per atom): -0.882
Magnetic moment (μB/f.u.): 0.00
Total DFT energy (no corrections) (eV/atom): -5.7951

Unit cell a=5.7469 b=5.7469 c=7.6747 alpha=50.93 beta=50.93 gamma=46.84
Fractional coordinates of all 6 atoms:
1 La 0.5335 0.5335 0.7060
2 La 0.4665 0.4665 0.2940
3 Ge 0.8392 0.8392 0.1107
4 Ge 0.1608 0.1608 0.8893
5 Pd 0.1856 0.1856 0.2781
6 Pd 0.8144 0.8144 0.7219


This record from Materials Project describes a geometry-optimized LaGePt structure. The functional is PBE.

## Properties
E_form (eV per atom): -1.100
Total DFT energy (no corrections) (eV/atom): -6.3097

Unit cell a=4.2991 b=4.2991 c=8.1712 alpha=105.25 beta=105.25 gamma=90.00
Fractional coordinates of all 6 atoms:
1 La 0.2499 0.7499 0.4998
2 La 0.9999 0.9999 0.9998
3 Ge 0.6691 0.1691 0.3383
4 Ge 0.4191 0.4191 0.8383
5 Pt 0.8350 0.3350 0.6699
6 Pt 0.5850 0.5850 0.1699


This record from Materials Project describes a geometry-optimized LaGe2Pt2 structure. The functional is PBE.

## Properties
E_form (eV per atom): -0.964
Magnetic moment (μB/f.u.): 0.00
Total DFT energy (no corrections) (eV/atom): -6.2294

Unit cell a=4.4439 b=4.4439 c=10.1065 alpha=90.00 beta=90.00 gamma=90.00
Fractional coordinates of all 10 atoms:
1 La 0.0000 0.5000 0.2536
2 La 0.5000 0.0000 0.7464
3 Ge 0.5000 0.5000 0.5000
4 Ge 0.0000 0.0000 0.5000
5 Ge 0.0000 0.5000 0.8686
6 Ge 0.5000 0.0000 0.1314
7 Pt 0.5000 0.5000 0.0000
8 Pt 0.0000 0.0000 0.0000
9 Pt 0.0000 0.5000 0.6223
10 Pt 0.5000 0.0000 0.3777